Entry 1
{"formula": "CaFeSi2O6", "functional": "PBE+U", "state": "relaxed", "lattice": [[-4.8961, -1.6646, -1.3087], [-5.2985, 0.4731, 8.4384], [-2.3957, 8.6091, -1.9873]], "species": ["Si", "O", "Fe", "Ca", "O", "O", "O", "Si", "O", "O", "O", "O", "O", "Ca", "O", "O", "O", "O", "O", "Si", "O", "Ca", "Fe", "O", "Si", "O", "Si", "Fe", "O", "Ca", "O", "O", "Si", "Si", "O", "O", "Si", "Fe", "O", "O"], "fractional_positions": [[0.2369, 0.7121, 0.0923], [0.1752, 0.3648, 0.2453], [0.7501, 0.5000, 0.5919], [0.7499, 0.5000, 0.2016], [0.5014, 0.6507, 0.9834], [0.3248, 0.6353, 0.2452], [0.9986, 0.3493, 0.9834], [0.2369, 0.2121, 0.5923], [0.6752, 0.3648, 0.7547], [0.8461, 0.1192, 0.9087], [0.5014, 0.1507, 0.4834], [0.8461, 0.6192, 0.4087], [0.6539, 0.3808, 0.4086], [0.2500, 0.0000, 0.2984], [0.4986, 0.8493, 0.5166], [0.8248, 0.1353, 0.2547], [0.6752, 0.8648, 0.2547], [0.9986, 0.8493, 0.4834], [0.1539, 0.8808, 0.0913], [0.7369, 0.7121, 0.9077], [0.8248, 0.6353, 0.7548], [0.2499, 0.5000, 0.7984], [0.7500, 0.0000, 0.0918], [0.6539, 0.8808, 0.9087], [0.7631, 0.2879, 0.9078], [0.3460, 0.1192, 0.0913], [0.2631, 0.7879, 0.5923], [0.2500, 0.5000, 0.4082], [0.4986, 0.3493, 0.0166], [0.7500, 0.0000, 0.7016], [0.0014, 0.6507, 0.0166], [0.3460, 0.6192, 0.5913], [0.2631, 0.2879, 0.0922], [0.7369, 0.2121, 0.4077], [0.3248, 0.1353, 0.7453], [0.1539, 0.3808, 0.5914], [0.7631, 0.7879, 0.4077], [0.2500, 0.0000, 0.9082], [0.0014, 0.1507, 0.5166], [0.1752, 0.8648, 0.7453]], "volume_a3_per_fu": 117.42}



Entry 2
{"formula": "CaFeSi2O6", "functional": "PBE+U", "state": "relaxed", "lattice": [[5.4740, 0.0000, 0.0000], [0.0000, 9.8492, 0.0000], [0.0000, 0.0000, 19.0475]], "species": ["Si", "O", "O", "O", "O", "Si", "Si", "O", "Ca", "Fe", "Si", "O", "O", "O", "Fe", "Fe", "O", "O", "Ca", "O", "Ca", "O", "O", "Si", "O", "Si", "O", "O", "O", "Fe", "O", "Si", "O", "O", "Fe", "O", "Si", "O", "O", "O", "Ca", "Si", "O", "O", "Ca", "O", "Fe", "Si", "O", "Si", "O", "Ca", "O", "Si", "O", "Si", "O", "O", "O", "O", "O", "Si", "O", "O", "Fe", "O", "O", "O", "O", "Fe", "O", "Si", "Ca", "O", "O", "O", "Ca", "Si", "O", "O"], "fractional_positions": [[0.0633, 0.8330, 0.7743], [0.9525, 0.6572, 0.1888], [0.2491, 0.6546, 0.0599], [0.9149, 0.0223, 0.1847], [0.4149, 0.4777, 0.1847], [0.4367, 0.8330, 0.2743], [0.9367, 0.1670, 0.2257], [0.0475, 0.3428, 0.8112], [0.8907, 0.6447, 0.6219], [0.1136, 0.9947, 0.3731], [0.5633, 0.1670, 0.7257], [0.3200, 0.2545, 0.7002], [0.9525, 0.1572, 0.3112], [0.5851, 0.0223, 0.6847], [0.8864, 0.5053, 0.8731], [0.3864, 0.4947, 0.6269], [0.1840, 0.5341, 0.9299], [0.1840, 0.0341, 0.5701], [0.6093, 0.6447, 0.1219], [0.1800, 0.7545, 0.2998], [0.6093, 0.1447, 0.3781], [0.7491, 0.3454, 0.4401], [0.2509, 0.1546, 0.9401], [0.7471, 0.8304, 0.4742], [0.5401, 0.7142, 0.9536], [0.7529, 0.8304, 0.9742], [0.0475, 0.8428, 0.6888], [0.1800, 0.2545, 0.2002], [0.6800, 0.7455, 0.2998], [0.8864, 0.0053, 0.6269], [0.4525, 0.8428, 0.1888], [0.2471, 0.1696, 0.0258], [0.4525, 0.3428, 0.3112], [0.6800, 0.2455, 0.2002], [0.1136, 0.4947, 0.1269], [0.3200, 0.7545, 0.7998], [0.0633, 0.3330, 0.7257], [0.6840, 0.4659, 0.5701], [0.0851, 0.9777, 0.8153], [0.5475, 0.6572, 0.6888], [0.3907, 0.3553, 0.8781], [0.2471, 0.6696, 0.4742], [0.9599, 0.2142, 0.0464], [0.9599, 0.7142, 0.4536], [0.1093, 0.3553, 0.3781], [0.0401, 0.2858, 0.5464], [0.6136, 0.0053, 0.1269], [0.7529, 0.3304, 0.5258], [0.8200, 0.7455, 0.7998], [0.4367, 0.3330, 0.2257], [0.4149, 0.9777, 0.3153], [0.3907, 0.8553, 0.6219], [0.5851, 0.5223, 0.8153], [0.9367, 0.6670, 0.2743], [0.6840, 0.9659, 0.9299], [0.2529, 0.6696, 0.9742], [0.7491, 0.8454, 0.0599], [0.8200, 0.2455, 0.7002], [0.9149, 0.5223, 0.3153], [0.3160, 0.0341, 0.0701], [0.8160, 0.9659, 0.4299], [0.7471, 0.3304, 0.0258], [0.0851, 0.4777, 0.6847], [0.7509, 0.3454, 0.9401], [0.3864, 0.9947, 0.8731], [0.4599, 0.7858, 0.4536], [0.2491, 0.1546, 0.4401], [0.3160, 0.5341, 0.4299], [0.5475, 0.1572, 0.8112], [0.6136, 0.5053, 0.3731], [0.8160, 0.4659, 0.0701], [0.5633, 0.6670, 0.7743], [0.1093, 0.8553, 0.1219], [0.2509, 0.6546, 0.5599], [0.5401, 0.2142, 0.5464], [0.4599, 0.2858, 0.0464], [0.8907, 0.1447, 0.8781], [0.2529, 0.1696, 0.5258], [0.0401, 0.7858, 0.9536], [0.7509, 0.8454, 0.5599]], "volume_a3_per_fu": 128.37}



Unit: meV/atom. Relative energies: entry 1 0; entry 2 33.



Entry 1
{"formula": "Ca2MnGaO5", "functional": "PBE+U", "state": "relaxed", "lattice": [[-1.0103, -4.9919, -1.7183], [5.0000, -0.1006, -2.5584], [1.1233, -0.2151, 8.3639]], "species": ["Mn", "O", "Mn", "O", "O", "O", "O", "Ga", "Ca", "O", "O", "O", "O", "Ca", "Ga", "Ca", "Ca", "O"], "fractional_positions": [[0.4848, 0.4998, 0.9999], [0.7477, 0.7552, 0.0276], [0.9867, 0.0006, 0.9998], [0.5915, 0.5707, 0.2767], [0.3164, 0.4291, 0.7240], [0.1321, 0.8727, 0.5005], [0.2510, 0.7751, 0.0331], [0.7760, 0.8155, 0.4952], [0.3925, 0.8614, 0.7807], [0.7956, 0.7696, 0.7028], [0.6314, 0.1273, 0.4993], [0.0882, 0.2296, 0.2975], [0.2279, 0.2367, 0.9731], [0.8882, 0.4181, 0.7826], [0.2810, 0.1851, 0.5047], [0.1067, 0.5824, 0.2178], [0.6103, 0.1385, 0.2187], [0.7239, 0.2326, 0.9660]], "volume_a3_per_fu": 113.08}



Entry 2
{"formula": "Ca2MnGaO5", "functional": "PBE+U", "state": "relaxed", "lattice": [[-5.0022, -0.8416, -1.8723], [-0.5264, -4.4541, 3.4083], [-0.0070, 7.0947, 4.6150]], "species": ["Ca", "O", "O", "O", "Ca", "O", "O", "Mn", "O", "O", "Ga", "O", "Ca", "Ga", "Ca", "O", "O", "Mn"], "fractional_positions": [[0.3916, 0.8632, 0.7804], [0.5897, 0.5680, 0.2884], [0.7579, 0.7649, 0.0300], [0.8002, 0.7803, 0.7117], [0.6116, 0.1369, 0.2196], [0.2579, 0.7652, 0.0301], [0.7209, 0.2448, 0.9699], [0.9871, 0.9996, 0.0001], [0.0897, 0.2203, 0.2883], [0.3000, 0.4314, 0.7117], [0.2774, 0.1832, 0.5000], [0.2209, 0.2251, 0.9699], [0.1116, 0.5827, 0.2196], [0.7774, 0.8168, 0.5000], [0.8917, 0.4172, 0.7804], [0.1296, 0.8734, 0.4999], [0.6296, 0.1267, 0.5000], [0.4872, 0.5005, 0.0001]], "volume_a3_per_fu": 114.40}



Unit: meV/atom. Relative energies: entry 1 12; entry 2 0.



Entry 1
{"formula": "Sr4CaMn2Ga2O11", "functional": "PBE+U", "state": "relaxed", "lattice": [[-4.1137, 4.0539, -0.1627], [-4.1289, -4.0677, -0.0718], [-3.8831, -0.0978, 7.9560]], "species": ["Sr", "O", "Sr", "Mn", "O", "Ga", "O", "O", "Mn", "O", "Ga", "Sr", "O", "O", "O", "Sr", "O", "O", "Ca", "O"], "fractional_positions": [[0.8690, 0.3700, 0.2709], [0.9607, 0.8301, 0.2317], [0.6310, 0.1300, 0.7291], [0.7500, 0.7500, 0.5000], [0.5393, 0.6699, 0.7683], [0.9902, 0.0135, 0.0006], [0.7500, 0.7500, 0.0000], [0.7500, 0.2500, 0.0000], [0.2500, 0.2500, 0.5000], [0.5463, 0.0151, 0.4311], [0.5098, 0.4865, 0.9994], [0.0676, 0.5790, 0.8366], [0.2500, 0.2500, 0.0000], [0.3352, 0.4558, 0.2286], [0.1648, 0.0442, 0.7714], [0.4324, 0.9210, 0.1634], [0.5086, 0.4675, 0.5013], [0.9537, 0.4849, 0.5689], [0.2500, 0.7500, 0.5000], [0.9914, 0.0325, 0.4987]], "volume_a3_per_fu": 269.96}



Entry 2
{"formula": "Sr4CaMn2Ga2O11", "functional": "PBE+U", "state": "relaxed", "lattice": [[4.9857, -1.1571, 3.2458], [-1.7757, 3.0005, 4.9577], [-1.5135, -5.3671, 6.7351]], "species": ["O", "O", "O", "Ca", "O", "Sr", "O", "O", "Ga", "Sr", "O", "O", "O", "O", "Mn", "Sr", "Sr", "Ga", "Mn", "O"], "fractional_positions": [[0.3415, 0.1822, 0.9970], [0.1591, 0.0286, 0.7915], [0.9699, 0.4970, 0.5455], [0.3177, 0.8177, 0.0000], [0.5426, 0.0153, 0.4545], [0.8732, 0.3623, 0.2635], [0.3202, 0.4506, 0.2085], [0.4699, 0.4699, 0.5000], [0.5239, 0.4010, 0.9970], [0.3545, 0.8465, 0.3052], [0.9352, 0.8249, 0.2263], [0.8293, 0.3293, 0.0000], [0.6792, 0.8387, 0.0030], [0.0284, 0.0284, 0.5000], [0.2494, 0.2493, 0.5000], [0.6518, 0.1597, 0.6948], [0.1257, 0.6368, 0.7365], [0.8981, 0.0210, 0.0030], [0.7507, 0.7506, 0.5000], [0.5513, 0.6615, 0.7737]], "volume_a3_per_fu": 273.94}



Unit: meV/atom. Relative energies: entry 1 107; entry 2 0.